Arrangement one

## Tl3Br (PBE-GGA)

Data for crystalline Tl3Br at its relaxed geometry.

Summary:
As for the crystal system: tetragonal. The total moment is 0.0 μB/f.u. The volume is 33.15 Å³/atom.

Geometry as POSCAR:
```
Tl3Br
1.0
4.196 3.647 3.792
-2.427 4.945 3.866
-1.284 -6.479 -1.287
Tl Br
3 1
Cartesian
-1.413 1.380 3.204
0.884 4.296 3.829
1.898 0.732 3.167
0.000 0.000 0.000
```

***

Arrangement two

## Tl3Br (PBE-GGA)

Data for crystalline Tl3Br at its relaxed geometry.

Summary:
As for the crystal system: hexagonal. The total moment is 0.0 μB/f.u. The volume is 33.06 Å³/atom.

Geometry as POSCAR:
```
Tl3Br
1.0
3.489 -6.044 0.000
3.489 6.044 0.000
0.000 0.000 6.270
Tl Br
6 2
Cartesian
5.227 -1.012 4.702
1.752 1.012 1.567
3.489 -4.021 4.702
1.752 -1.012 4.702
3.489 4.021 1.567
5.227 1.012 1.567
3.489 2.015 4.702
3.489 -2.015 1.567
```

***

What should be chosen as the least stable of them? Choose arrangement two.

***

Arrangement one

## C (PBE-GGA)

Data for crystalline C at its relaxed geometry.

Summary:
As for the crystal system: orthorhombic. The total moment is 0.0 μB/f.u. The volume is 6.63 Å³/atom.

Geometry as POSCAR:
```
C
1.0
1.351 -3.911 0.000
1.351 3.911 0.000
0.000 0.000 2.512
C
4
Cartesian
1.351 -1.482 1.256
1.351 1.482 1.256
1.351 -0.671 0.000
1.351 0.671 0.000
```

***

Arrangement two

## C (PBE-GGA)

Data for crystalline C at its relaxed geometry.

Summary:
As for the crystal system: orthorhombic. The total moment is 0.0 μB/f.u. The volume is 10.58 Å³/atom.

Geometry as POSCAR:
```
C
1.0
-4.564 4.585 7.585
4.564 -4.585 7.585
4.564 4.585 -7.585
C
60
Cartesian
1.178 6.104 -1.443
1.178 6.104 1.443
3.142 5.752 4.607
5.367 0.810 0.000
1.528 3.123 6.412
1.422 1.166 2.979
3.842 2.278 5.026
-0.803 3.775 7.585
2.285 2.608 -0.737
1.528 3.123 8.759
3.036 1.462 1.173
3.386 1.519 6.142
2.279 1.978 8.322
0.723 2.308 2.559
0.000 3.787 0.799
0.803 3.775 7.585
6.534 0.738 2.270
3.869 4.585 4.167
4.564 -0.799 6.787
3.386 1.519 9.028
3.036 1.462 -1.173
-1.969 3.848 5.315
2.279 1.978 6.848
5.287 -2.278 5.026
3.842 -2.278 5.026
2.595 -0.738 2.270
-1.528 3.123 8.759
0.696 0.000 11.752
6.093 1.462 1.173
1.178 3.067 -1.443
3.869 4.585 -4.167
-0.723 6.863 2.559
2.595 0.738 2.270
6.093 1.462 -1.173
2.285 2.608 0.737
4.564 0.799 6.787
1.969 3.848 5.315
3.142 3.419 -4.607
2.285 6.563 -0.737
2.285 6.563 0.737
0.723 6.863 2.559
1.422 -1.166 2.979
3.386 -1.519 9.028
6.534 -0.738 2.270
-1.969 5.323 5.315
1.422 -1.166 12.192
-1.528 3.123 6.412
5.287 2.278 5.026
-0.723 2.308 2.559
3.142 3.419 4.607
1.178 3.067 1.443
3.386 -1.519 6.142
2.279 -1.978 8.322
0.000 5.384 0.799
3.142 5.752 -4.607
1.969 5.323 5.315
0.696 0.000 3.419
1.422 1.166 12.192
2.279 -1.978 6.848
3.761 0.810 0.000
```

***

Arrangement three

## C (PBE-GGA)

Data for crystalline C at its relaxed geometry.

Summary:
As for the crystal system: orthorhombic. The volume is 10.52 Å³/atom.

Geometry as POSCAR:
```
C
1.0
0.000 2.137 3.990
1.234 0.000 3.990
1.234 2.137 0.000
C
2
Cartesian
1.234 1.425 3.990
1.234 2.850 3.990
```

***

Arrangement four

## C (PBE-GGA)

Data for crystalline C at its relaxed geometry.

Summary:
As for the crystal system: monoclinic. The total moment is 0.0 μB/f.u. The volume is 20.03 Å³/atom.

Geometry as POSCAR:
```
C
1.0
-5.926 -5.333 -12.442
6.721 2.431 -12.933
3.921 -6.333 0.846
C
71
Cartesian
4.721 -4.030 -17.981
2.708 -5.990 -24.949
0.098 -5.396 -7.966
0.044 -5.100 -5.137
-0.893 -6.285 -10.028
6.474 -1.680 -9.597
3.325 -3.698 -10.218
5.619 -2.938 -14.500
0.011 -4.938 -3.728
3.543 -4.313 -14.459
2.110 -3.767 -5.227
4.701 -3.880 -16.569
4.234 -2.528 -5.300
4.733 -4.302 -20.782
0.526 -6.885 -20.618
-0.734 -6.839 -14.253
0.317 -6.131 -13.607
1.959 -3.253 -0.987
2.638 -5.606 -20.684
3.650 -4.777 -18.570
2.380 -4.655 -12.304
-1.840 -7.343 -13.507
2.653 -5.721 -22.113
3.687 -4.450 -15.841
0.448 -6.654 -17.815
-2.976 -7.707 -11.350
1.582 -6.186 -19.931
3.673 -4.902 -20.012
1.004 -4.174 -3.063
5.436 -2.400 -10.274
1.284 -5.191 -11.544
6.552 -1.981 -12.428
-0.844 -6.454 -11.445
4.183 -2.377 -3.890
-0.976 -5.861 -5.795
2.242 -4.251 -9.473
3.227 -3.362 -7.389
2.064 -3.604 -3.816
2.595 -5.355 -17.822
3.714 -5.139 -22.865
2.456 -4.867 -13.701
1.429 -5.610 -14.377
1.409 -5.849 -15.752
0.139 -5.553 -9.381
7.568 -1.234 -11.760
1.219 -4.991 -10.136
4.314 -2.808 -8.130
3.043 -2.712 -1.734
-1.890 -7.164 -12.100
5.334 -1.987 -6.040
1.614 -6.429 -22.784
4.551 -3.531 -13.771
3.188 -3.211 -5.974
0.946 -3.999 -1.652
5.364 -2.119 -7.459
4.355 -2.965 -9.545
5.697 -3.109 -15.903
-0.952 -5.996 -7.214
5.485 -2.569 -11.690
1.563 -6.058 -18.489
-1.964 -6.860 -9.269
6.610 -2.156 -13.835
0.402 -6.519 -16.402
-0.696 -7.033 -15.654
1.123 -4.654 -7.307
2.191 -4.078 -8.058
4.476 -3.333 -12.360
3.394 -3.895 -11.626
0.254 -5.926 -12.196
1.086 -4.502 -5.893
3.092 -2.892 -3.144
```

***

What should be chosen as the least stable of them? Choose arrangement one.